1.
LiVSe2: relaxed, PBE-GGA.

Computed properties:
- size of the total moment (μB per formula unit) = 2.0

The structure in CIF format:
```
data_LiVSe2
_chemical_formula_sum 'Li1 V1 Se2'
_space_group_name_H-M_alt 'P -3 m 1'
_space_group_IT_number 164
_space_group_name_Hall '-P 3 2"'
_cell_length_a 3.5342
_cell_length_b 3.5342
_cell_length_c 6.4592
_cell_angle_alpha 90.00
_cell_angle_beta 90.00
_cell_angle_gamma 120.00
loop_
_atom_site_label
_atom_site_type_symbol
_atom_site_fract_x
_atom_site_fract_y
_atom_site_fract_z
Li1 Li 0.0000 0.0000 0.0000
V1 V 0.0000 0.0000 0.5000
Se1 Se 0.3333 0.6667 0.7333
```



2.
BiSb3F20: relaxed, PBE-GGA.

The structure in CIF format:
```
data_BiSb3F20
_chemical_formula_sum 'Bi2 Sb6 F40'
_space_group_name_H-M_alt 'C 1 2 1'
_space_group_IT_number 5
_cell_length_a 10.215
_cell_length_b 14.832
_cell_length_c 5.621
_cell_angle_alpha 90.00
_cell_angle_beta 92.00
_cell_angle_gamma 90.00
loop_
_space_group_symop_operation_xyz
'x,y,z'
'-x,y,-z'
'x+1/2,y+1/2,z'
'-x+1/2,y+1/2,-z'
loop_
_atom_site_label
_atom_site_type_symbol
_atom_site_fract_x
_atom_site_fract_y
_atom_site_fract_z
Bi1 Bi 0.000 0.000 0.000
Sb1 Sb 0.000 0.404 0.000
Sb2 Sb 0.249 0.706 0.242
F1 F 0.096 0.388 0.287
F2 F 0.103 0.021 0.305
F3 F 0.115 0.298 0.883
F4 F 0.118 0.486 0.869
F5 F 0.119 0.116 0.881
F6 F 0.128 0.916 0.854
F7 F 0.141 0.206 0.484
F8 F 0.144 0.609 0.341
F9 F 0.144 0.802 0.340
F10 F 0.181 0.706 0.927
```



3.
Na2Sr3P4: relaxed, PBE-GGA.

Computed properties:
- distance to the lowest polymorph of the same formula (meV per atom) = 122.1
- size of the total moment (μB per formula unit) = 0.0

The structure in CIF format:
```
data_Na2Sr3P4
_chemical_formula_sum 'Na8 Sr12 P16'
_space_group_name_H-M_alt 'P 1 21/c 1'
_space_group_IT_number 14
_cell_length_a 9.472
_cell_length_b 9.068
_cell_length_c 13.502
_cell_angle_alpha 90.00
_cell_angle_beta 124.41
_cell_angle_gamma 90.00
loop_
_space_group_symop_operation_xyz
'x,y,z'
'-x,-y,-z'
'-x,y+1/2,-z+1/2'
'x,-y+1/2,z+1/2'
loop_
_atom_site_label
_atom_site_type_symbol
_atom_site_fract_x
_atom_site_fract_y
_atom_site_fract_z
Na1 Na 0.149 0.210 0.363
Na2 Na 0.279 0.537 0.314
Sr1 Sr 0.106 0.665 0.935
Sr2 Sr 0.251 0.047 0.066
Sr3 Sr 0.427 0.546 0.855
P1 P 0.039 0.517 0.693
P2 P 0.241 0.121 0.612
P3 P 0.478 0.230 0.777
P4 P 0.483 0.725 0.543
```



4.
CdFe3Sn2S8: relaxed, PBE-GGA.

Computed properties:
- size of the total moment (μB per formula unit) = 0.0

The structure in CIF format:
```
data_CdFe3Sn2S8
_chemical_formula_sum 'Cd2 Fe6 Sn4 S16'
_space_group_name_H-M_alt 'I m m 2'
_space_group_IT_number 44
_cell_length_a 7.134
_cell_length_b 7.408
_cell_length_c 10.284
_cell_angle_alpha 90.00
_cell_angle_beta 90.00
_cell_angle_gamma 90.00
loop_
_space_group_symop_operation_xyz
'x,y,z'
'-x,-y,z'
'-x,y,z'
'x,-y,z'
'x+1/2,y+1/2,z+1/2'
'-x+1/2,-y+1/2,z+1/2'
'-x+1/2,y+1/2,z+1/2'
'x+1/2,-y+1/2,z+1/2'
loop_
_atom_site_label
_atom_site_type_symbol
_atom_site_fract_x
_atom_site_fract_y
_atom_site_fract_z
Cd1 Cd 0.000 0.000 0.000
Fe1 Fe 0.000 0.500 0.279
Fe2 Fe 0.250 0.000 0.404
Sn1 Sn 0.000 0.254 0.649
S1 S 0.000 0.216 0.401
S2 S 0.000 0.306 0.897
S3 S 0.242 0.500 0.131
S4 S 0.247 0.000 0.182
```



5.
Hg: relaxed, PBE-GGA.

Computed properties:
- distance to the lowest polymorph of the same formula (meV per atom) = 0.0

The structure in CIF format:
```
data_Hg
_chemical_formula_sum 'Hg2'
_space_group_name_H-M_alt 'P 63/m m c'
_space_group_IT_number 194
_space_group_name_Hall '-P 6c 2c'
_cell_length_a 3.5798
_cell_length_b 3.5798
_cell_length_c 5.7347
_cell_angle_alpha 90.00
_cell_angle_beta 90.00
_cell_angle_gamma 120.00
loop_
_atom_site_label
_atom_site_type_symbol
_atom_site_fract_x
_atom_site_fract_y
_atom_site_fract_z
Hg1 Hg 0.3333 0.6667 0.2500
```



6.
KCeCuTe4: relaxed, PBE-GGA.

Computed properties:
- size of the total moment (μB per formula unit) = 0.7

The structure in CIF format:
```
data_KCeCuTe4
_chemical_formula_sum 'K2 Ce2 Cu2 Te8'
_space_group_name_H-M_alt 'P 4/n m m'
_space_group_IT_number 129
_cell_length_a 4.457
_cell_length_b 4.457
_cell_length_c 21.157
_cell_angle_alpha 90.00
_cell_angle_beta 90.00
_cell_angle_gamma 90.00
loop_
_space_group_symop_operation_xyz
'x,y,z'
'-x,-y,-z'
'-y+1/2,x,z'
'y+1/2,-x,-z'
'-x+1/2,-y+1/2,z'
'x+1/2,y+1/2,-z'
'y,-x+1/2,z'
'-y,x+1/2,-z'
'x+1/2,-y,-z'
'-x+1/2,y,z'
'-y,-x,-z'
'y,x,z'
'-x,y+1/2,-z'
'x,-y+1/2,z'
'y+1/2,x+1/2,-z'
'-y+1/2,-x+1/2,z'
loop_
_atom_site_label
_atom_site_type_symbol
_atom_site_fract_x
_atom_site_fract_y
_atom_site_fract_z
K1 K 0.250 0.250 0.143
Ce1 Ce 0.250 0.250 0.600
Cu1 Cu 0.250 0.750 0.000
Te1 Te 0.250 0.250 0.443
Te2 Te 0.250 0.250 0.930
Te3 Te 0.250 0.750 0.284
```



7.
Hf2CS: relaxed, PBE-GGA.

The structure in CIF format:
```
data_Hf2CS
_chemical_formula_sum 'Hf4 C2 S2'
_space_group_name_H-M_alt 'P 63/m m c'
_space_group_IT_number 194
_space_group_name_Hall '-P 6c 2c'
_cell_length_a 3.3801
_cell_length_b 3.3801
_cell_length_c 12.0704
_cell_angle_alpha 90.00
_cell_angle_beta 90.00
_cell_angle_gamma 120.00
loop_
_atom_site_label
_atom_site_type_symbol
_atom_site_fract_x
_atom_site_fract_y
_atom_site_fract_z
Hf1 Hf 0.3333 0.6667 0.1000
C1 C 0.0000 0.0000 0.0000
S1 S 0.3333 0.6667 0.7500
```



| no. | formation enthalpy at 0 K (meV per atom) | density (g cm⁻³) |
| --- | --- | --- |
| 1 | -1118 | 5.129 |
| 2 | -2467 | 3.724 |
| 3 | -701 | 3.004 |
| 4 | -560 | 4.729 |
| 5 | 0 | 10.467 |
| 6 | -1071 | 5.952 |
| 7 | -1465 | 11.152 |